Entry from the Materials Project: a geometry-optimized HoCu5Sn structure (PBE).

abc: 4.997 8.213 10.580
angles: 90.00 90.00 90.00
Fractional positions:
1 Cu 0.250 0.059 0.898
2 Cu 0.998 0.066 0.687
3 Cu 0.250 0.559 0.602
4 Cu 0.998 0.566 0.813
5 Cu 0.002 0.434 0.187
6 Cu 0.250 0.413 0.982
7 Cu 0.250 0.814 0.745
8 Cu 0.750 0.686 0.245
9 Cu 0.250 0.913 0.518
10 Cu 0.498 0.934 0.313
11 Cu 0.502 0.566 0.813
12 Cu 0.750 0.186 0.255
13 Cu 0.250 0.314 0.755
14 Cu 0.750 0.587 0.018
15 Cu 0.750 0.941 0.102
16 Cu 0.750 0.441 0.398
17 Cu 0.498 0.434 0.187
18 Cu 0.002 0.934 0.313
19 Cu 0.750 0.087 0.482
20 Cu 0.502 0.066 0.687
21 Ho 0.750 0.749 0.563
22 Ho 0.750 0.249 0.937
23 Ho 0.250 0.251 0.437
24 Ho 0.250 0.751 0.063
25 Sn 0.750 0.860 0.861
26 Sn 0.250 0.640 0.361
27 Sn 0.750 0.360 0.639
28 Sn 0.250 0.140 0.139

Properties
symmetry	Pnma (62)
energy of formation from the pure elements	-0.26	eV per atom